Density functional theory data (PBE) for a relaxed structure of Nd2AlNO3.

Structure (POSCAR):
```
Nd2AlNO3
1.0
-3.2854 -0.7727 -1.6023
-1.5615 -0.3591 3.3751
0.9882 6.6936 -0.8985
N O Al Nd
1 3 1 2
direct
0.8268 0.8268 0.6536 N
0.5002 0.0002 0.0004 O
0.1600 0.1600 0.3200 O
0.0002 0.5002 0.0004 O
0.9875 0.9875 0.9751 Al
0.3496 0.3496 0.6992 Nd
0.6384 0.6384 0.2768 Nd
```

Raw total energy, eV per cell: -55.581
Symmetry: I4mm, No. 107
Largest piezoelectric modulus, C/m2: 1.99

---

Density functional theory data (PBE) for a relaxed structure of NdAl6Si30N45O3.

Structure (POSCAR):
```
NdAl6Si30N45O3
1.0
-7.8723 0.0000 0.0000
3.8923 6.8639 0.0000
-0.0333 -0.0880 -17.1410
Al Si N O Nd
6 30 45 3 1
direct
0.9167 0.4320 0.4500 Al
0.9251 0.7545 0.3503 Al
0.0974 0.5147 0.2837 Al
0.9273 0.4338 0.1059 Al
0.9144 0.7475 0.0127 Al
0.9138 0.7472 0.6799 Al
0.8312 0.0841 0.3515 Si
0.4867 0.5820 0.2809 Si
0.2534 0.1676 0.6828 Si
0.4248 0.9146 0.2793 Si
0.5151 0.0846 0.7786 Si
0.5690 0.4880 0.7778 Si
0.4859 0.5688 0.9438 Si
0.8353 0.0886 0.0112 Si
0.1691 0.2426 0.1818 Si
0.0887 0.8281 0.8463 Si
0.5630 0.4855 0.4480 Si
0.0812 0.8244 0.1802 Si
0.5122 0.0838 0.4490 Si
0.1686 0.2410 0.5199 Si
0.0888 0.8273 0.5148 Si
0.7475 0.9167 0.1803 Si
0.4315 0.9194 0.6127 Si
0.4886 0.5682 0.6135 Si
0.2478 0.1678 0.0140 Si
0.5635 0.4897 0.1081 Si
0.2452 0.1733 0.3522 Si
0.7444 0.9093 0.8474 Si
0.1696 0.2406 0.8482 Si
0.0875 0.5187 0.6164 Si
0.5085 0.0800 0.1089 Si
0.7452 0.9106 0.5169 Si
0.4281 0.9176 0.9428 Si
0.9142 0.4341 0.7757 Si
0.8369 0.0881 0.6821 Si
0.0823 0.5163 0.9443 Si
0.6902 0.0089 0.7668 N
0.3478 0.6815 0.3034 N
0.3144 0.3132 0.1004 N
0.3213 0.3253 0.2671 N
0.6090 0.6538 0.8537 N
0.9979 0.9959 0.5162 N
0.6683 0.3342 0.7970 N
0.3087 0.3196 0.4357 N
0.3308 0.6661 0.9575 N
0.9898 0.6694 0.2596 N
0.0087 0.6783 0.7666 N
0.0049 0.6785 0.9258 N
0.3355 0.6679 0.6280 N
0.6087 0.6552 0.1891 N
0.9978 0.9953 0.8473 N
0.0189 0.6902 0.4337 N
0.3171 0.3192 0.6011 N
0.9518 0.3402 0.0111 N
0.3901 0.0483 0.0194 N
0.6769 0.9893 0.9319 N
0.6806 0.0076 0.2652 N
0.9980 0.9980 0.1831 N
0.3189 0.3127 0.7681 N
0.6524 0.3297 0.4653 N
0.6575 0.3316 0.1315 N
0.9552 0.3461 0.6880 N
0.3921 0.0470 0.6885 N
0.6436 0.6028 0.6891 N
0.0031 0.0143 0.3477 N
0.6082 0.6554 0.5220 N
0.6819 0.0003 0.4349 N
0.6404 0.6027 0.0205 N
0.6444 0.5930 0.3542 N
0.3467 0.9598 0.5232 N
0.0135 0.6908 0.0987 N
0.3100 0.3197 0.9321 N
0.0050 0.6752 0.5944 N
0.0030 0.0120 0.0135 N
0.3969 0.0598 0.3536 N
0.9314 0.3318 0.3522 N
0.3473 0.9615 0.8535 N
0.6820 0.9961 0.6007 N
0.0068 0.0136 0.6811 N
0.3475 0.9638 0.1900 N
0.6889 0.0104 0.0990 N
0.0470 0.3757 0.5294 O
0.0494 0.3742 0.1880 O
0.0442 0.3823 0.8513 O
0.6736 0.3439 0.2696 Nd
```

Raw total energy, eV per cell: -681.139
Symmetry: P1, No. 1

---

Density functional theory data (PBE) for a relaxed structure of Nd6Al7Si5N3O25.

Structure (POSCAR):
```
Nd6Al7Si5N3O25
1.0
-3.8281 5.8416 -3.9393
-6.0631 3.8394 3.5866
6.2683 6.7482 3.7083
O Nd N Al Si
25 6 3 7 5
direct
0.1301 0.0944 0.3914 O
0.8422 0.4769 0.3442 O
0.0947 0.7800 0.3837 O
0.1437 0.3229 0.1671 O
0.4723 0.6905 0.3364 O
0.6685 0.6708 0.6027 O
0.9159 0.8524 0.1095 O
0.7078 0.8327 0.8365 O
0.7844 0.1337 0.8774 O
0.8980 0.8719 0.6083 O
0.6774 0.6584 0.1056 O
0.1620 0.2985 0.6638 O
0.0922 0.7859 0.8660 O
0.6846 0.8554 0.3301 O
0.2139 0.9099 0.6313 O
0.3365 0.3256 0.3932 O
0.1235 0.1075 0.8958 O
0.2283 0.9032 0.1153 O
0.5198 0.1544 0.1575 O
0.7698 0.1314 0.3922 O
0.3318 0.3289 0.8963 O
0.8646 0.2182 0.6197 O
0.3163 0.5271 0.1648 O
0.5285 0.1513 0.6672 O
0.8438 0.4694 0.8319 O
0.4152 0.9989 0.4992 Nd
0.0009 0.5878 0.9922 Nd
0.5944 0.4056 0.9999 Nd
0.5889 0.4116 0.5018 Nd
0.4155 0.9856 0.9905 Nd
0.0094 0.5894 0.5059 Nd
0.3050 0.5386 0.6582 N
0.8480 0.2029 0.1364 N
0.4592 0.7022 0.8408 N
0.7641 0.0008 0.7467 Al
0.9984 0.0068 0.0040 Al
0.9971 0.2359 0.7533 Al
0.9923 0.0014 0.5001 Al
0.9887 0.2465 0.2569 Al
0.7673 0.0344 0.2303 Al
0.2473 0.7533 0.2494 Al
0.2613 0.7396 0.7491 Si
0.6627 0.6690 0.7682 Si
0.3299 0.3294 0.2289 Si
0.6724 0.6730 0.2696 Si
0.3315 0.3358 0.7308 Si
```

Raw total energy, eV per cell: -364.048
Symmetry: P1, No. 1

---

Density functional theory data (PBE) for a relaxed structure of Ti3Al2NiN.

Structure (POSCAR):
```
Ti3Al2NiN
1.0
-3.2024 -0.1332 7.3766
-0.0406 6.6744 4.4876
-6.9225 3.8299 1.4486
Ni Ti N Al
4 12 4 8
direct
0.6250 0.1250 0.6250 Ni
0.1250 0.6250 0.6250 Ni
0.6250 0.6250 0.1250 Ni
0.6250 0.6250 0.6250 Ni
0.8146 0.1854 0.1854 Ti
0.0646 0.4354 0.4354 Ti
0.4354 0.4354 0.0646 Ti
0.0646 0.0646 0.4354 Ti
0.0646 0.4354 0.0646 Ti
0.1854 0.8146 0.1854 Ti
0.8146 0.8146 0.1854 Ti
0.1854 0.8146 0.8146 Ti
0.1854 0.1854 0.8146 Ti
0.8146 0.1854 0.8146 Ti
0.4354 0.0646 0.4354 Ti
0.4354 0.0646 0.0646 Ti
0.1250 0.1250 0.1250 N
0.1250 0.1250 0.6250 N
0.1250 0.6250 0.1250 N
0.6250 0.1250 0.1250 N
0.8328 0.5015 0.8328 Al
0.4172 0.7485 0.4172 Al
0.4172 0.4172 0.4172 Al
0.7485 0.4172 0.4172 Al
0.5015 0.8328 0.8328 Al
0.4172 0.4172 0.7485 Al
0.8328 0.8328 0.8328 Al
0.8328 0.8328 0.5015 Al
```

Raw total energy, eV per cell: -207.889
Symmetry: Fd-3m, No. 227

---

Density functional theory data (PBE) for a relaxed structure of Al3NO3.

Structure (POSCAR):
```
Al3NO3
1.0
4.9736 -2.8308 0.0000
4.9736 2.8308 0.0000
3.3624 0.0000 4.6308
O Al N
6 6 2
direct
0.2595 0.7341 0.2595 O
0.7405 0.2659 0.7405 O
0.2659 0.7405 0.7405 O
0.7405 0.7405 0.2659 O
0.2595 0.2595 0.7341 O
0.7341 0.2595 0.2595 O
0.8667 0.8667 0.8667 Al
0.5000 0.5000 0.0000 Al
0.0000 0.5000 0.5000 Al
0.5000 0.0000 0.5000 Al
0.5000 0.5000 0.5000 Al
0.1333 0.1333 0.1333 Al
0.7369 0.7369 0.7369 N
0.2631 0.2631 0.2631 N
```

Offset from the most stable computed form, eV/atom: 0.003
Symmetry: R-3m, No. 166

---

Density functional theory data (PBE) for a relaxed structure of Al17N3O21.

Structure (POSCAR):
```
Al17N3O21
1.0
-5.7072 0.0000 0.0000
-0.0572 -7.9979 0.0000
2.8421 3.9022 8.4485
Al O N
17 21 3
direct
0.0922 0.4651 0.1716 Al
0.6567 0.6627 0.3359 Al
0.5700 0.9582 0.1584 Al
0.0953 0.9593 0.6730 Al
0.9205 0.2887 0.8271 Al
0.9982 0.9950 0.0055 Al
0.7501 0.1184 0.4980 Al
0.2521 0.6302 0.9900 Al
0.7406 0.6321 0.9911 Al
0.4189 0.2925 0.3345 Al
0.3248 0.3237 0.6693 Al
0.5839 0.9521 0.6756 Al
0.2676 0.6264 0.5096 Al
0.8377 0.5883 0.6601 Al
0.9181 0.2917 0.3334 Al
0.5021 0.2552 0.9940 Al
0.1778 0.9203 0.3313 Al
0.4267 0.5318 0.8476 O
0.2401 0.3779 0.4942 O
0.5940 0.2070 0.1693 O
0.5788 0.7056 0.1533 O
0.2536 0.8688 0.0096 O
0.9216 0.5292 0.3270 O
0.9102 0.0402 0.8289 O
0.7759 0.3841 0.9989 O
0.9208 0.5444 0.8408 O
0.0795 0.7128 0.6478 O
0.2574 0.8713 0.5096 O
0.4157 0.0473 0.8223 O
0.5996 0.2005 0.6708 O
0.2312 0.3830 0.9989 O
0.5817 0.7133 0.6582 O
0.9077 0.0501 0.3304 O
0.7518 0.3648 0.4887 O
0.7540 0.8727 0.0174 O
0.7512 0.8845 0.5100 O
0.0745 0.6929 0.1530 O
0.0794 0.2211 0.1739 O
0.4399 0.0540 0.3338 N
0.0578 0.1940 0.6631 N
0.3960 0.5293 0.3327 N
```

Raw total energy, eV per cell: -304.790
Symmetry: P1, No. 1

---

Density functional theory data (PBE) for a relaxed structure of Al3NO3.

Structure (POSCAR):
```
Al3NO3
1.0
-2.9337 -4.3396 -2.1487
1.3155 -3.1542 4.5744
-6.6457 2.6438 3.7341
O Al N
12 12 4
direct
0.4868 0.5016 0.7465 O
0.7500 0.7590 0.0126 O
0.9868 0.4984 0.2535 O
0.9868 0.9984 0.2465 O
0.2500 0.2410 0.9874 O
0.2500 0.7410 0.5126 O
0.5132 0.9984 0.2465 O
0.5132 0.4984 0.2535 O
0.7500 0.2590 0.4874 O
0.4868 0.0016 0.7535 O
0.0132 0.5016 0.7465 O
0.0132 0.0016 0.7535 O
0.5000 0.0000 0.0000 Al
0.7500 0.7506 0.2576 Al
0.5000 0.5000 0.5000 Al
0.2500 0.7494 0.7576 Al
0.7500 0.4921 0.8827 Al
0.2500 0.0079 0.3827 Al
0.2500 0.2494 0.7424 Al
0.2500 0.5079 0.1173 Al
0.7500 0.2506 0.2424 Al
0.0000 0.0000 0.0000 Al
0.7500 0.9921 0.6173 Al
0.0000 0.5000 0.5000 Al
0.7500 0.2262 0.0083 N
0.2500 0.7738 0.9917 N
0.7500 0.7262 0.4917 N
0.2500 0.2738 0.5083 N
```

Offset from the most stable computed form, eV/atom: 0.000
Symmetry: Pnma, No. 62

---

Density functional theory data (PBE) for a relaxed structure of Al2P2NO8.

Structure (POSCAR):
```
Al2P2NO8
1.0
6.6230 6.6337 0.0000
-6.6230 6.6337 0.0000
0.0000 1.6166 8.6703
P O Al N
8 32 8 4
direct
0.2068 0.9416 0.4580 P
0.0584 0.7932 0.0420 P
0.2981 0.4198 0.4100 P
0.5802 0.7019 0.0900 P
0.7019 0.5802 0.5900 P
0.4198 0.2981 0.9100 P
0.7932 0.0584 0.5420 P
0.9416 0.2068 0.9580 P
0.9120 0.1736 0.5347 O
0.0357 0.1741 0.0891 O
0.1741 0.0357 0.5891 O
0.3143 0.4245 0.9218 O
0.3511 0.1626 0.0074 O
0.2702 0.4515 0.2411 O
0.9643 0.8259 0.9109 O
0.1353 0.6506 0.0245 O
0.8259 0.9643 0.4109 O
0.5755 0.6857 0.5782 O
0.0880 0.8264 0.4653 O
0.1736 0.9120 0.0347 O
0.6506 0.1353 0.5245 O
0.8264 0.0880 0.9653 O
0.3494 0.8647 0.4755 O
0.4392 0.6650 0.0301 O
0.6857 0.5755 0.0782 O
0.2172 0.0415 0.3032 O
0.1626 0.3511 0.5074 O
0.4515 0.2702 0.7411 O
0.7298 0.5485 0.7589 O
0.6489 0.8374 0.9926 O
0.5608 0.3350 0.9699 O
0.8374 0.6489 0.4926 O
0.7828 0.9585 0.6968 O
0.0415 0.2172 0.8032 O
0.9585 0.7828 0.1968 O
0.8647 0.3494 0.9755 O
0.6650 0.4392 0.5301 O
0.5485 0.7298 0.2589 O
0.4245 0.3143 0.4218 O
0.3350 0.5608 0.4699 O
0.4508 0.7122 0.4446 Al
0.9242 0.8045 0.3925 Al
0.7122 0.4508 0.9446 Al
0.5492 0.2878 0.5554 Al
0.8045 0.9242 0.8925 Al
0.0758 0.1955 0.6075 Al
0.1955 0.0758 0.1075 Al
0.2878 0.5492 0.0554 Al
0.5705 0.0736 0.2250 N
0.9264 0.4295 0.2750 N
0.4295 0.9264 0.7750 N
0.0736 0.5705 0.7250 N
```

Raw total energy, eV per cell: -370.579
Symmetry: C2/c, No. 15

---

Density functional theory data (PBE) for a relaxed structure of Pr4AlSi5N7O7.

Structure (POSCAR):
```
Pr4AlSi5N7O7
1.0
-1.3299 -3.9347 3.0025
7.5832 -1.9857 0.8089
2.0411 13.5771 19.0065
N Pr O Si Al
21 12 21 15 3
direct
0.3236 0.0044 0.8334 N
0.3079 0.6635 0.4735 N
0.3022 0.9208 0.7203 N
0.3060 0.6629 0.8066 N
0.7030 0.4136 0.4494 N
0.6852 0.8352 0.3015 N
0.2974 0.6666 0.1396 N
0.6863 0.4157 0.1134 N
0.7029 0.8279 0.9693 N
0.6708 0.5064 0.6688 N
0.6715 0.5025 0.0013 N
0.3271 0.0085 0.4984 N
0.7071 0.1737 0.0298 N
0.6849 0.8410 0.6354 N
0.6961 0.5810 0.5569 N
0.6851 0.4031 0.7795 N
0.6978 0.5700 0.8884 N
0.6914 0.5835 0.2204 N
0.6768 0.5040 0.3323 N
0.7024 0.1550 0.3587 N
0.6946 0.1686 0.6905 N
0.9885 0.1577 0.7748 Pr
0.9812 0.3393 0.9470 Pr
0.9999 0.6654 0.7222 Pr
0.9885 0.6622 0.0532 Pr
0.9903 0.8232 0.8862 Pr
0.9749 0.1695 0.4421 Pr
0.9847 0.3374 0.2820 Pr
0.9879 0.6496 0.3889 Pr
0.9814 0.3440 0.6141 Pr
0.9907 0.8271 0.5535 Pr
0.9888 0.8257 0.2213 Pr
0.9812 0.1734 0.1112 Pr
0.8089 0.1334 0.2117 O
0.7726 0.1431 0.8811 O
0.2215 0.3577 0.7115 O
0.2266 0.6372 0.9540 O
0.7680 0.8618 0.7869 O
0.3299 0.3370 0.5320 O
0.2211 0.6375 0.6200 O
0.3072 0.9194 0.0582 O
0.7642 0.8655 0.1194 O
0.7724 0.8604 0.4533 O
0.3206 0.3361 0.8629 O
0.3230 0.0917 0.6107 O
0.3165 0.3415 0.1954 O
0.2238 0.3611 0.0467 O
0.1905 0.3609 0.3781 O
0.3134 0.0774 0.2815 O
0.2215 0.6398 0.2868 O
0.3279 0.9115 0.3880 O
0.3317 0.0000 0.1654 O
0.3148 0.0981 0.9432 O
0.7780 0.1413 0.5479 O
0.5111 0.9996 0.6678 Si
0.5037 0.5065 0.1665 Si
0.5120 0.5034 0.8322 Si
0.5491 0.6410 0.2851 Si
0.5230 0.9970 0.3329 Si
0.5509 0.3586 0.0486 Si
0.5482 0.6463 0.6200 Si
0.4575 0.1409 0.5458 Si
0.5198 0.5068 0.5006 Si
0.4514 0.1411 0.8788 Si
0.4396 0.8585 0.7856 Si
0.4432 0.8525 0.1199 Si
0.4483 0.8550 0.4550 Si
0.5485 0.3565 0.7143 Si
0.5547 0.6413 0.9517 Si
0.5221 0.0024 0.9995 Al
0.5360 0.3548 0.3821 Al
0.4688 0.1430 0.2152 Al
```

Raw total energy, eV per cell: -585.427
Symmetry: P1, No. 1

---

Repeat the fifth record exactly.
Density functional theory data (PBE) for a relaxed structure of Al3NO3.

Structure (POSCAR):
```
Al3NO3
1.0
4.9736 -2.8308 0.0000
4.9736 2.8308 0.0000
3.3624 0.0000 4.6308
O Al N
6 6 2
direct
0.2595 0.7341 0.2595 O
0.7405 0.2659 0.7405 O
0.2659 0.7405 0.7405 O
0.7405 0.7405 0.2659 O
0.2595 0.2595 0.7341 O
0.7341 0.2595 0.2595 O
0.8667 0.8667 0.8667 Al
0.5000 0.5000 0.0000 Al
0.0000 0.5000 0.5000 Al
0.5000 0.0000 0.5000 Al
0.5000 0.5000 0.5000 Al
0.1333 0.1333 0.1333 Al
0.7369 0.7369 0.7369 N
0.2631 0.2631 0.2631 N
```

Offset from the most stable computed form, eV/atom: 0.003
Symmetry: R-3m, No. 166